<a>
A relaxed structure of Na4Ti5O12. Source: Materials Project, functional PBE-GGA.

a b c (Å): 5.9557 6.4530 13.4356
angles (deg): 95.87 96.36 90.01
Last column: nearest neighbours and their distance in Å.
Space group P-1 (No. 2)
Inequivalent atoms, fractional coordinates:
Na 0.1541 0.4001 0.1146  6 O 2.41-2.56
Na 0.2008 0.6745 0.3035  5 O 2.32-2.46
Na 0.2802 0.4076 0.6202  5 O 2.39-2.43
Na 0.3444 0.5892 0.8761  6 O 2.37-2.54
Ti 0.0457 0.8350 0.6890  1 O 1.73
Ti 0.1480 0.9016 0.0844  6 O 1.92-2.07
Ti 0.2481 0.9808 0.4925  6 O 1.88-2.09
Ti 0.3533 0.0976 0.9113  6 O 1.93-2.08
Ti 0.4510 0.1650 0.3111  1 O 1.73
O 0.0181 0.1226 0.5843  2 Ti 1.88-2.09
O 0.0579 0.5981 0.7391  1 Ti 1.73
O 0.1016 0.2864 0.9096  2 Ti 1.93
O 0.1087 0.8847 0.9367  3 Ti 1.96-2.08
O 0.1826 0.0094 0.2305  3 Ti 2.00-2.03
O 0.2273 0.2255 0.4096  3 Ti 1.99-2.02
O 0.2729 0.7706 0.5917  3 Ti 1.99-2.00
O 0.3177 0.9854 0.7705  3 Ti 1.94-2.04
O 0.3899 0.1130 0.0626  3 Ti 2.01-2.07
O 0.3970 0.7132 0.0916  2 Ti 1.92-1.93
O 0.4382 0.4017 0.2608  1 Ti 1.73
O 0.4760 0.8774 0.4157  2 Ti 1.88-2.09

---

<b>
A relaxed structure of Na4Ti5O12. Source: Materials Project, functional PBE-GGA.

a b c (Å): 8.7485 8.7748 14.0554
angles (deg): 90.00 105.24 90.00
Last column: nearest neighbours and their distance in Å.
Space group C2/c (No. 15)
Inequivalent atoms, fractional coordinates:
Na 0.0000 0.0000 0.0000  6 O 2.27-2.53
Na 0.0000 0.1091 0.2500  4 O 2.19
Na 0.1723 0.3643 0.0800  4 O 2.21-2.28
Ti 0.0978 0.2603 0.6633  3 O 1.86-1.96
Ti 0.1574 0.4963 0.3349  5 O 1.89-2.08
Ti 0.2500 0.2500 0.5000  6 O 1.97-2.00
O 0.0377 0.2545 0.5264  2 Ti 1.86-1.99
O 0.0732 0.4996 0.1823  3 Ti 1.97-2.14
O 0.1285 0.0515 0.6802  2 Ti 1.86-1.98
O 0.1385 0.2894 0.8234  1 Ti 1.89
O 0.1866 0.2378 0.3527  2 Ti 1.96-2.00, 1 Na 2.19
O 0.2318 0.4707 0.4726  2 Ti 1.89-1.97

---

Energies relative to the most stable structure, in kJ/mol of atoms: <a> 0.0; <b> 2.7.

---

<a>
A relaxed structure of Na4Ti7O16. Source: Materials Project, functional PBE-GGA.

a b c (Å): 5.5181 6.0337 9.5833
angles (deg): 90.00 91.23 90.00
Last column: nearest neighbours and their distance in Å.
Space group Pm (No. 6)
Inequivalent atoms, fractional coordinates:
Na 0.0000 0.0000 0.0000  3 O 2.11-2.23
Na 0.0397 0.0000 0.6946  6 O 2.20-2.41
Na 0.5220 0.2434 0.5843  4 O 2.14-2.37
Ti 0.0239 0.5000 0.6907  5 O 1.93-2.01
Ti 0.0849 0.2516 0.4004  5 O 1.88-2.06
Ti 0.5184 0.2471 0.9022  5 O 1.86-2.07
Ti 0.5724 0.0000 0.1993  6 O 1.90-2.10
Ti 0.6088 0.5000 0.1758  6 O 1.92-2.08
O 0.2555 0.0000 0.4791  2 Ti 1.93
O 0.2610 0.2823 0.7754  2 Ti 1.86-2.01
O 0.2625 0.5000 0.4923  2 Ti 1.99
O 0.3818 0.0000 0.0100  3 Ti 1.97-2.08, 1 Na 2.11
O 0.3943 0.5000 0.0091  3 Ti 1.97
O 0.4058 0.2512 0.2679  2 Ti 1.90-2.08
O 0.6861 0.0000 0.8143  2 Ti 1.96
O 0.7375 0.2469 0.0806  3 Ti 1.92-2.10
O 0.7410 0.5000 0.8058  1 Ti 1.93
O 0.8808 0.0000 0.3124  3 Ti 2.00-2.06
O 0.9049 0.2759 0.5638  2 Ti 1.88-1.93
O 0.9046 0.5000 0.3039  3 Ti 2.01-2.02

---

<b>
A relaxed structure of Na4Ti7O16. Source: Materials Project, functional PBE-GGA.

a b c (Å): 6.1744 6.0850 9.0261
angles (deg): 90.00 93.53 90.00
Last column: nearest neighbours and their distance in Å.
Space group P2/m (No. 10)
Inequivalent atoms, fractional coordinates:
Na 0.2276 0.0000 0.1209  4 O 2.23-2.29
Na 0.2449 0.5000 0.3732  4 O 2.15-2.18
Ti 0.0000 0.0000 0.5000  6 O 1.99-2.03
Ti 0.2631 0.2555 0.7559  2 O 1.81-1.87
Ti 0.5000 0.0000 0.5000  6 O 1.99-2.00
Ti 0.5000 0.5000 0.0000  6 O 1.97-2.02
O 0.0521 0.0000 0.7246  3 Ti 2.03-2.04
O 0.0829 0.5000 0.7219  2 Ti 1.87
O 0.2504 0.2070 0.5106  3 Ti 1.99-2.23, 1 Na 2.17
O 0.2824 0.2676 0.9570  2 Ti 1.81-1.97
O 0.4808 0.0000 0.7196  3 Ti 1.99-2.09
O 0.4914 0.5000 0.7760  3 Ti 2.02-2.05, 1 Na 2.18

---

Energies relative to the most stable structure, in kJ/mol of atoms: <a> 3.3; <b> 0.0.

---

<a>
A relaxed structure of NaTlO. Source: Materials Project, functional PBE-GGA.

a b c (Å): 3.5552 3.5552 11.5627
angles (deg): 90.00 90.00 120.00
Last column: nearest neighbours and their distance in Å.
Space group P6_3mc (No. 186)
Inequivalent atoms, fractional coordinates:
Na 0.3333 0.6667 0.0000  3 O 2.33
Tl 0.3333 0.6667 0.7208  3 O 2.51
O 0.0000 0.0000 0.0961  3 Na 2.33, 3 Tl 2.51

---

<b>
A relaxed structure of NaTlO. Source: Materials Project, functional PBE-GGA.

a b c (Å): 6.1434 3.6492 12.8018
angles (deg): 90.00 90.05 90.00
Last column: nearest neighbours and their distance in Å.
Space group Pm (No. 6)
Inequivalent atoms, fractional coordinates:
Na 0.0000 0.0000 0.0000  3 O 2.26-2.29
Na 0.0069 0.0000 0.3263  3 O 2.28
Na 0.5096 0.5000 0.0048  3 O 2.26-2.31
Na 0.8380 0.5000 0.8408  3 O 2.36-2.38
Tl 0.3369 0.0000 0.5268  3 O 2.59-2.65
Tl 0.3380 0.0000 0.8210  3 O 2.39-2.56
Tl 0.5017 0.5000 0.2937  3 O 2.42-2.55
Tl 0.8428 0.5000 0.5238  3 O 2.58-2.59
O 0.1714 0.5000 0.9357  4 Na 2.26-2.38
O 0.1730 0.5000 0.3982  2 Na 2.28, 1 Tl 2.42
O 0.6644 0.0000 0.9224  5 Na 2.29-2.36, 1 Tl 2.39
O 0.6747 0.0000 0.4057  1 Na 2.28, 2 Tl 2.55

---

Energies relative to the most stable structure, in kJ/mol of atoms: <a> 0.0; <b> 6.0.

---

<a>
A relaxed structure of NaTmO2. Source: Materials Project, functional PBE-GGA.

a b c (Å): 3.3650 3.3650 16.6788
angles (deg): 90.00 90.00 120.00
Last column: nearest neighbours and their distance in Å.
Space group R-3m (No. 166, hexagonal axes)
Inequivalent atoms, fractional coordinates:
Na 0.0000 0.0000 0.0000  6 O 2.53
Tm 0.0000 0.0000 0.5000  6 O 2.26
O 0.0000 0.0000 0.2362  3 Tm 2.26, 3 Na 2.53

---

<b>
A relaxed structure of NaTmO2. Source: Materials Project, functional PBE-GGA.

a b c (Å): 4.5601 4.5601 10.2336
angles (deg): 90.00 90.00 90.00
Last column: nearest neighbours and their distance in Å.
Space group I4_1/amd (No. 141, origin choice 2)
Inequivalent atoms, fractional coordinates:
Na 0.0000 0.2500 0.3750  4 O 2.30
Tm 0.0000 0.2500 0.8750  6 O 2.25-2.30
O 0.0000 0.2500 0.0948  3 Tm 2.25-2.30, 2 Na 2.30

---

Energies relative to the most stable structure, in kJ/mol of atoms: <a> 0.0; <b> 1.5.

---

<a>
A relaxed structure of Na4XeO14. Source: Materials Project, functional PBE-GGA.

a b c (Å): 10.9008 10.9748 11.9224
angles (deg): 90.00 90.00 90.00
Last column: nearest neighbours and their distance in Å.
Space group Pbcn (No. 60)
Inequivalent atoms, fractional coordinates:
Na 0.1238 0.0774 0.0499  4 O 2.34-2.57
Na 0.1470 0.2106 0.7258  4 O 2.26-2.51
Xe 0.0000 0.3559 0.2500  6 O 3.15-3.39
O 0.0000 0.0633 0.2500  2 O 1.37
O 0.0000 0.3534 0.7500  2 O 1.89
O 0.0644 0.4080 0.8883  1 O 1.26
O 0.0747 0.1394 0.5366  1 O 1.38
O 0.1075 0.0016 0.7521  1 O 1.37
O 0.1187 0.3309 0.9489  1 O 1.26
O 0.1295 0.2378 0.4842  2 O 1.35-1.38
O 0.1976 0.3052 0.5558  1 O 1.35

---

<b>
A relaxed structure of Na4XeO14. Source: Materials Project, functional PBE-GGA.

a b c (Å): 11.5562 9.8435 11.2481
angles (deg): 90.00 90.00 90.00
Last column: nearest neighbours and their distance in Å.
Space group Pbcn (No. 60)
Inequivalent atoms, fractional coordinates:
Na 0.1345 0.0533 0.0323  3 O 2.40-2.60
Na 0.1375 0.2312 0.7519  3 O 2.21-2.42
Xe 0.0000 0.4064 0.2500  1 O 2.03
O 0.0000 0.0828 0.2500  2 O 1.37
O 0.0000 0.3871 0.7500  1 Xe 2.03, 2 Na 2.21
O 0.0480 0.1665 0.5585  1 O 1.41
O 0.0991 0.0098 0.2722  1 O 1.37
O 0.1013 0.2757 0.4990  2 O 1.35-1.41
O 0.1583 0.3524 0.0247  1 O 1.27
O 0.1810 0.3394 0.5667  1 O 1.35
O 0.1992 0.3854 0.9244  1 O 1.27

---

Energies relative to the most stable structure, in kJ/mol of atoms: <a> 0.0; <b> 5.1.

---

<a>
A relaxed structure of Na3Os. Source: Materials Project, functional PBE-GGA.

a b c (Å): 6.4405 6.4405 5.2833
angles (deg): 90.00 90.00 120.00
Last column: nearest neighbours and their distance in Å.
Space group P6_3/mmc (No. 194)
Inequivalent atoms, fractional coordinates:
Na 0.1781 0.3562 0.2500  6 Na 3.00-3.31, 4 Os 3.16-3.22
Os 0.3333 0.6667 0.7500  12 Na 3.16-3.22

---

<b>
A relaxed structure of Na3Os. Source: Materials Project, functional PBE-GGA.

a b c (Å): 9.3418 9.3418 4.9497
angles (deg): 90.00 90.00 90.00
Last column: nearest neighbours and their distance in Å.
Space group P4_2/mnm (No. 136)
Inequivalent atoms, fractional coordinates:
Na 0.0334 0.2975 0.0000  3 Os 3.06-3.07, 3 Na 3.29-3.30
Na 0.1234 0.8766 0.5000  4 Os 3.17-3.35, 7 Na 3.26-3.30
Os 0.2059 0.2059 0.5000  10 Na 3.06-3.35

---

Energies relative to the most stable structure, in kJ/mol of atoms: <a> 0.0; <b> 4.6.